(1)
PBE Lu2MgSe4, optimized geometry; ΔH_f (0 K) = -1821 meV per atom; total energy = -5.069 eV per atom
1.0
-4.2601 4.2601 4.3924
4.2601 -4.2601 4.3924
4.2601 4.2601 -4.3924
Lu Mg Se
4 2 8
direct
0.0069 0.6250 0.8819 Lu
0.3750 0.2569 0.3819 Lu
0.7431 0.1250 0.1181 Lu
0.8750 0.9931 0.6181 Lu
0.2500 0.7500 0.5000 Mg
0.5000 0.5000 0.0000 Mg
0.0088 0.8795 0.2598 Se
0.1205 0.3803 0.1293 Se
0.1303 0.3705 0.6293 Se
0.2510 0.9912 0.8707 Se
0.4990 0.8697 0.2402 Se
0.6197 0.7490 0.7402 Se
0.6295 0.2588 0.7598 Se
0.7412 0.5010 0.3707 Se

(2)
PBE Ca4Be2Al2Si9H2O28, optimized geometry; ΔH_f (0 K) = -3236 meV per atom; total energy = -7.447 eV per atom
1.0
11.8207 -2.5354 0.0000
11.8207 2.5354 0.0000
0.0000 0.0000 19.6368
Ca Be Al Si H O
8 4 4 18 4 56
direct
0.1463 0.6878 0.6519 Ca
0.1463 0.6878 0.8481 Ca
0.3122 0.8537 0.6519 Ca
0.3122 0.8537 0.8481 Ca
0.6878 0.1463 0.1519 Ca
0.6878 0.1463 0.3481 Ca
0.8537 0.3122 0.1519 Ca
0.8537 0.3122 0.3481 Ca
0.0763 0.6751 0.2500 Be
0.3249 0.9237 0.2500 Be
0.6751 0.0763 0.7500 Be
0.9237 0.3249 0.7500 Be
0.4046 0.4046 0.0000 Al
0.4046 0.4046 0.5000 Al
0.5954 0.5954 0.0000 Al
0.5954 0.5954 0.5000 Al
0.0676 0.3595 0.6430 Si
0.0676 0.3595 0.8570 Si
0.1691 0.1691 0.0000 Si
0.1691 0.1691 0.5000 Si
0.2300 0.7700 0.2500 Si
0.2844 0.7156 0.1050 Si
0.2844 0.7156 0.3950 Si
0.3595 0.0676 0.1430 Si
0.3595 0.0676 0.3570 Si
0.6405 0.9324 0.6430 Si
0.6405 0.9324 0.8570 Si
0.7156 0.2844 0.6050 Si
0.7156 0.2844 0.8950 Si
0.7700 0.2300 0.7500 Si
0.8309 0.8309 0.0000 Si
0.8309 0.8309 0.5000 Si
0.9324 0.6405 0.1430 Si
0.9324 0.6405 0.3570 Si
0.2459 0.4410 0.7500 H
0.4410 0.2459 0.2500 H
0.5590 0.7541 0.7500 H
0.7541 0.5590 0.2500 H
0.0017 0.8807 0.2500 O
0.0297 0.9703 0.6140 O
0.0297 0.9703 0.8860 O
0.0688 0.3445 0.5598 O
0.0688 0.3445 0.9402 O
0.0713 0.2370 0.6807 O
0.0713 0.2370 0.8193 O
0.0983 0.6404 0.5368 O
0.0983 0.6404 0.9632 O
0.1193 0.9983 0.2500 O
0.2062 0.3231 0.1642 O
0.2062 0.3231 0.3358 O
0.2370 0.0713 0.1807 O
0.2370 0.0713 0.3193 O
0.3231 0.2062 0.6642 O
0.3231 0.2062 0.8358 O
0.3445 0.0688 0.0598 O
0.3445 0.0688 0.4402 O
0.3487 0.5364 0.0722 O
0.3487 0.5364 0.4278 O
0.3556 0.4082 0.7500 O
0.3596 0.9017 0.5368 O
0.3596 0.9017 0.9632 O
0.4082 0.3556 0.2500 O
0.4333 0.5667 0.1830 O
0.4333 0.5667 0.3170 O
0.4636 0.6513 0.0722 O
0.4636 0.6513 0.4278 O
0.5364 0.3487 0.5722 O
0.5364 0.3487 0.9278 O
0.5667 0.4333 0.6830 O
0.5667 0.4333 0.8170 O
0.5918 0.6444 0.7500 O
0.6404 0.0983 0.0368 O
0.6404 0.0983 0.4632 O
0.6444 0.5918 0.2500 O
0.6513 0.4636 0.5722 O
0.6513 0.4636 0.9278 O
0.6555 0.9312 0.5598 O
0.6555 0.9312 0.9402 O
0.6769 0.7938 0.1642 O
0.6769 0.7938 0.3358 O
0.7630 0.9287 0.6807 O
0.7630 0.9287 0.8193 O
0.7938 0.6769 0.6642 O
0.7938 0.6769 0.8358 O
0.8807 0.0017 0.7500 O
0.9017 0.3596 0.0368 O
0.9017 0.3596 0.4632 O
0.9287 0.7630 0.1807 O
0.9287 0.7630 0.3193 O
0.9312 0.6555 0.0598 O
0.9312 0.6555 0.4402 O
0.9703 0.0297 0.1140 O
0.9703 0.0297 0.3860 O
0.9983 0.1193 0.7500 O

(3)
PBE BaRe2H2O9, optimized geometry; ΔH_f (0 K) = -2256 meV per atom; total energy = -7.395 eV per atom
1.0
7.4092 0.0000 0.0000
0.0323 7.6382 0.0000
1.5131 0.0725 15.6980
Ba Re H O
4 8 8 36
direct
0.2174 0.1866 0.1373 Ba
0.2211 0.8217 0.6367 Ba
0.7789 0.1783 0.3633 Ba
0.7826 0.8134 0.8627 Ba
0.2373 0.6989 0.0096 Re
0.2399 0.3049 0.5127 Re
0.2828 0.8694 0.3543 Re
0.2981 0.1379 0.8522 Re
0.7019 0.8621 0.1478 Re
0.7172 0.1306 0.6457 Re
0.7601 0.6951 0.4873 Re
0.7627 0.3011 0.9904 Re
0.0715 0.4919 0.2867 H
0.0784 0.5026 0.7763 H
0.4134 0.4524 0.2744 H
0.4227 0.5778 0.7924 H
0.5773 0.4222 0.2076 H
0.5866 0.5476 0.7256 H
0.9216 0.4974 0.2237 H
0.9285 0.5081 0.7133 H
0.0023 0.5844 0.7465 O
0.0827 0.6424 0.9367 O
0.0847 0.3345 0.4365 O
0.1352 0.8525 0.0814 O
0.1413 0.1690 0.5946 O
0.1604 0.0287 0.3015 O
0.1751 0.9709 0.8066 O
0.2169 0.8796 0.4635 O
0.2331 0.1486 0.9612 O
0.2473 0.6561 0.3173 O
0.2612 0.3433 0.8059 O
0.2953 0.5044 0.5581 O
0.3018 0.5148 0.0667 O
0.4283 0.7896 0.9517 O
0.4367 0.2107 0.4620 O
0.4683 0.9075 0.1616 O
0.4856 0.0840 0.6608 O
0.4898 0.3589 0.2470 O
0.5102 0.6411 0.7530 O
0.5144 0.9160 0.3392 O
0.5317 0.0925 0.8384 O
0.5633 0.7893 0.5380 O
0.5717 0.2104 0.0483 O
0.6982 0.4852 0.9333 O
0.7047 0.4956 0.4419 O
0.7388 0.6567 0.1941 O
0.7527 0.3439 0.6827 O
0.7669 0.8514 0.0388 O
0.7831 0.1204 0.5365 O
0.8249 0.0291 0.1934 O
0.8396 0.9713 0.6985 O
0.8587 0.8310 0.4054 O
0.8648 0.1475 0.9186 O
0.9153 0.6655 0.5635 O
0.9173 0.3576 0.0633 O
0.9977 0.4156 0.2535 O

(4)
PBE BaZrSe3, optimized geometry; ΔH_f (0 K) = -1843 meV per atom; total energy = -5.751 eV per atom
1.0
5.2874 0.0000 0.0000
0.0036 5.2964 0.0000
0.0079 0.0101 5.3095
Ba Zr Se
1 1 3
direct
0.0000 0.0000 0.0000 Ba
0.4779 0.4916 0.4781 Zr
0.4897 0.0000 0.5040 Se
0.4940 0.5028 0.9947 Se
0.9852 0.5132 0.5199 Se

(5)
PBE Rb2LiAuF6, optimized geometry; ΔH_f (0 K) = -2358 meV per atom; total energy = -3.944 eV per atom
1.0
0.0000 4.2949 4.2949
4.2949 0.0000 4.2949
4.2949 4.2949 0.0000
Rb Li Au F
2 1 1 6
direct
0.2500 0.2500 0.2500 Rb
0.7500 0.7500 0.7500 Rb
0.0000 0.0000 0.0000 Li
0.5000 0.5000 0.5000 Au
0.2482 0.2482 0.7518 F
0.2482 0.7518 0.2482 F
0.2482 0.7518 0.7518 F
0.7518 0.2482 0.2482 F
0.7518 0.2482 0.7518 F
0.7518 0.7518 0.2482 F

(6)
PBE Cs2Sb2Pd, optimized geometry; ΔH_f (0 K) = -491 meV per atom; total energy = -3.537 eV per atom
1.0
3.9391 -7.6988 0.0000
3.9391 7.6988 0.0000
0.0000 0.0000 6.8923
Cs Sb Pd
4 4 2
direct
0.0888 0.9112 0.7500 Cs
0.2980 0.7020 0.2500 Cs
0.7020 0.2980 0.7500 Cs
0.9112 0.0888 0.2500 Cs
0.2222 0.4220 0.7500 Sb
0.4220 0.2222 0.2500 Sb
0.5780 0.7778 0.7500 Sb
0.7778 0.5780 0.2500 Sb
0.5000 0.5000 0.0000 Pd
0.5000 0.5000 0.5000 Pd

(7)
PBE GeO2, optimized geometry; piezoelectric modulus e_max = 0.27 C/m²; ΔH_f (0 K) = -2077 meV per atom; total energy = -6.459 eV per atom
1.0
5.0884 0.0000 0.0000
-2.5442 4.4066 0.0000
0.0000 0.0000 5.7596
Ge O
3 6
direct
0.0000 0.4554 0.1667 Ge
0.4554 0.0000 0.8333 Ge
0.5446 0.5446 0.5000 Ge
0.0999 0.7018 0.9251 O
0.2982 0.3981 0.2585 O
0.3981 0.2982 0.7415 O
0.6019 0.9001 0.5918 O
0.7018 0.0999 0.0749 O
0.9001 0.6019 0.4082 O

(8)
PBE EuIn2Ge4Ir4, optimized geometry; ΔH_f (0 K) = -492 meV per atom; total energy = -6.820 eV per atom
1.0
-3.5068 3.5068 4.4138
3.5068 -3.5068 4.4138
3.5068 3.5068 -4.4138
Eu In Ge Ir
1 2 4 4
direct
0.0000 0.0000 0.0000 Eu
0.0000 0.5000 0.5000 In
0.5000 0.0000 0.5000 In
0.1230 0.1230 0.6347 Ge
0.4883 0.4883 0.3653 Ge
0.5117 0.8770 0.0000 Ge
0.8770 0.5117 0.0000 Ge
0.2405 0.5556 0.0000 Ir
0.4444 0.4444 0.6849 Ir
0.5556 0.2405 0.0000 Ir
0.7595 0.7595 0.3151 Ir